An optimized crystal structure of Li2Mn2S3O12, computed with PBE with a Hubbard U.

a b c (Å): 8.8188 8.9216 24.4953
angles (deg): 90.00 90.00 90.00
Last column: nearest neighbours and their distance in Å.
Fractional positions:
Li 0.9625 0.3773 0.7089  4 O 1.98-2.01
Li 0.5375 0.6227 0.2089  4 O 1.98-2.01
Li 0.4625 0.3773 0.7911  4 O 1.98-2.01
Li 0.1438 0.5686 0.5093  4 O 1.98-2.07
Li 0.6438 0.5686 0.9907  4 O 1.98-2.07
Li 0.8562 0.4314 0.4907  4 O 1.98-2.07
Li 0.9625 0.1227 0.2089  4 O 1.98-2.01
Li 0.8562 0.0686 0.9907  4 O 1.98-2.07
Li 0.4625 0.1227 0.2911  4 O 1.98-2.01
Li 0.6438 0.9314 0.4907  4 O 1.98-2.07
Li 0.3562 0.0686 0.5093  4 O 1.98-2.07
Li 0.0375 0.8773 0.7911  4 O 1.98-2.01
Li 0.1438 0.9314 0.0093  4 O 1.98-2.07
Li 0.0375 0.6227 0.2911  4 O 1.98-2.01
Li 0.3562 0.4314 0.0093  4 O 1.98-2.07
Li 0.5375 0.8773 0.7089  4 O 1.98-2.01
Mn 0.4992 0.9029 0.0658  6 O 2.12-2.34
Mn 0.9992 0.5971 0.9342  6 O 2.12-2.34
Mn 0.5014 0.7053 0.8220  6 O 2.11-2.28
Mn 0.9986 0.2053 0.8220  6 O 2.11-2.28
Mn 0.0014 0.7053 0.6780  6 O 2.11-2.28
Mn 0.5008 0.0971 0.9342  6 O 2.12-2.34
Mn 0.5008 0.4029 0.4342  6 O 2.12-2.34
Mn 0.9986 0.2947 0.3220  6 O 2.11-2.28
Mn 0.4986 0.2947 0.1780  6 O 2.11-2.28
Mn 0.5014 0.7947 0.3220  6 O 2.11-2.28
Mn 0.0014 0.7947 0.1780  6 O 2.11-2.28
Mn 0.0008 0.0971 0.5658  6 O 2.12-2.34
Mn 0.4992 0.5971 0.5658  6 O 2.12-2.34
Mn 0.4986 0.2053 0.6780  6 O 2.11-2.28
Mn 0.0008 0.4029 0.0658  6 O 2.12-2.34
Mn 0.9992 0.9029 0.4342  6 O 2.12-2.34
S 0.8061 0.9072 0.8841  4 O 1.47-1.50
S 0.1939 0.0928 0.1159  4 O 1.47-1.50
S 0.1445 0.5529 0.7988  4 O 1.47-1.50
S 0.8555 0.0529 0.7012  4 O 1.47-1.50
S 0.6490 0.2468 0.5518  4 O 1.47-1.52
S 0.3555 0.0529 0.7988  4 O 1.47-1.50
S 0.8061 0.5928 0.3841  4 O 1.47-1.50
S 0.1939 0.4072 0.6159  4 O 1.47-1.50
S 0.3555 0.4471 0.2988  4 O 1.47-1.50
S 0.6445 0.5529 0.7012  4 O 1.47-1.50
S 0.1445 0.9471 0.2988  4 O 1.47-1.50
S 0.6490 0.2532 0.0518  4 O 1.47-1.52
S 0.8510 0.7532 0.0518  4 O 1.47-1.52
S 0.3510 0.7468 0.9482  4 O 1.47-1.52
S 0.3061 0.5928 0.1159  4 O 1.47-1.50
S 0.1490 0.2532 0.4482  4 O 1.47-1.52
S 0.6939 0.4072 0.8841  4 O 1.47-1.50
S 0.6939 0.0928 0.3841  4 O 1.47-1.50
S 0.3510 0.7532 0.4482  4 O 1.47-1.52
S 0.1490 0.2468 0.9482  4 O 1.47-1.52
S 0.8555 0.4471 0.2012  4 O 1.47-1.50
S 0.3061 0.9072 0.6159  4 O 1.47-1.50
S 0.6445 0.9471 0.2012  4 O 1.47-1.50
S 0.8510 0.7468 0.5518  4 O 1.47-1.52
O 0.4060 0.8105 0.5831  1 S 1.47
O 0.0943 0.6782 0.7622  1 S 1.50
O 0.9060 0.8105 0.9169  1 S 1.47
O 0.1413 0.2317 0.3887  1 S 1.47
O 0.9156 0.8865 0.5245  1 S 1.52
O 0.6413 0.2317 0.1113  1 S 1.47
O 0.0655 0.1115 0.9655  1 S 1.48
O 0.3134 0.5435 0.7976  1 S 1.49
O 0.3587 0.7683 0.8887  1 S 1.47
O 0.4190 0.5915 0.2780  1 S 1.49
O 0.5810 0.4085 0.7220  1 S 1.49
O 0.8101 0.2634 0.0331  1 S 1.50
O 0.4156 0.6135 0.4755  1 S 1.52
O 0.6899 0.7366 0.5331  1 S 1.50
O 0.5940 0.3105 0.9169  1 S 1.47
O 0.0982 0.0114 0.1569  1 S 1.50
O 0.5844 0.3865 0.5245  1 S 1.52
O 0.9190 0.9085 0.7220  1 S 1.49
O 0.8587 0.7683 0.6113  1 S 1.47
O 0.4105 0.4155 0.3542  1 S 1.47
O 0.5655 0.3885 0.0345  1 S 1.48
O 0.4018 0.5114 0.1569  1 S 1.50
O 0.3101 0.2366 0.9669  1 S 1.50
O 0.0810 0.4085 0.7780  1 S 1.49
O 0.8134 0.9565 0.2024  1 S 1.49
O 0.8106 0.1783 0.3547  1 S 1.47
O 0.3106 0.3217 0.6453  1 S 1.47
O 0.2336 0.4824 0.0778  1 S 1.50
O 0.1866 0.0435 0.7976  1 S 1.49
O 0.8587 0.7317 0.1113  1 S 1.47
O 0.5844 0.1135 0.0245  1 S 1.52
O 0.0844 0.3865 0.9755  1 S 1.52
O 0.9057 0.1782 0.7378  1 S 1.50
O 0.0895 0.5845 0.8542  1 S 1.47
O 0.9345 0.6115 0.5345  1 S 1.48
O 0.7336 0.4824 0.4222  1 S 1.50
O 0.0943 0.8218 0.2622  1 S 1.50
O 0.0940 0.1895 0.0831  1 S 1.47
O 0.9018 0.9886 0.8431  1 S 1.50
O 0.4345 0.8885 0.4655  1 S 1.48
O 0.9018 0.5114 0.3431  1 S 1.50
O 0.0940 0.3105 0.5831  1 S 1.47
O 0.6899 0.7634 0.0331  1 S 1.50
O 0.1894 0.6783 0.1453  1 S 1.47
O 0.4018 0.9886 0.6569  1 S 1.50
O 0.0895 0.9155 0.3542  1 S 1.47
O 0.5895 0.9155 0.1458  1 S 1.47
O 0.8101 0.2366 0.5331  1 S 1.50
O 0.0655 0.3885 0.4655  1 S 1.48
O 0.4057 0.3218 0.2622  1 S 1.50
O 0.1413 0.2683 0.8887  1 S 1.47
O 0.3106 0.1783 0.1453  1 S 1.47
O 0.0844 0.1135 0.4755  1 S 1.52
O 0.9190 0.5915 0.2220  1 S 1.49
O 0.0810 0.0915 0.2780  1 S 1.49
O 0.3587 0.7317 0.3887  1 S 1.47
O 0.7336 0.0176 0.9222  1 S 1.50
O 0.4057 0.1782 0.7622  1 S 1.50
O 0.6894 0.6783 0.3547  1 S 1.47
O 0.6894 0.8217 0.8547  1 S 1.47
O 0.8134 0.5435 0.7024  1 S 1.49
O 0.9060 0.6895 0.4169  1 S 1.47
O 0.3101 0.2634 0.4669  1 S 1.50
O 0.9057 0.3218 0.2378  1 S 1.50
O 0.3134 0.9565 0.2976  1 S 1.49
O 0.9156 0.6135 0.0245  1 S 1.52
O 0.5940 0.1895 0.4169  1 S 1.47
O 0.6866 0.4565 0.2024  1 S 1.49
O 0.9105 0.0845 0.6458  1 S 1.47
O 0.4060 0.6895 0.0831  1 S 1.47
O 0.4190 0.9085 0.7780  1 S 1.49
O 0.2664 0.5176 0.5778  1 S 1.50
O 0.1894 0.8217 0.6453  1 S 1.47
O 0.2664 0.9824 0.0778  1 S 1.50
O 0.0982 0.4886 0.6569  1 S 1.50
O 0.1899 0.7634 0.4669  1 S 1.50
O 0.5982 0.4886 0.8431  1 S 1.50
O 0.6413 0.2683 0.6113  1 S 1.47
O 0.7664 0.9824 0.4222  1 S 1.50
O 0.5943 0.6782 0.7378  1 S 1.50
O 0.1899 0.7366 0.9669  1 S 1.50
O 0.5982 0.0114 0.3431  1 S 1.50
O 0.6866 0.0435 0.7024  1 S 1.49
O 0.7664 0.5176 0.9222  1 S 1.50
O 0.8106 0.3217 0.8547  1 S 1.47
O 0.5810 0.0915 0.2220  1 S 1.49
O 0.4156 0.8865 0.9755  1 S 1.52
O 0.5895 0.5845 0.6458  1 S 1.47
O 0.4105 0.0845 0.8542  1 S 1.47
O 0.5655 0.1115 0.5345  1 S 1.48
O 0.1866 0.4565 0.2976  1 S 1.49
O 0.9105 0.4155 0.1458  1 S 1.47
O 0.9345 0.8885 0.0345  1 S 1.48
O 0.2336 0.0176 0.5778  1 S 1.50
O 0.4345 0.6115 0.9655  1 S 1.48
O 0.5943 0.8218 0.2378  1 S 1.50

Magnetization: 0.526 μB per atom
Crystal system: orthorhombic
Energy above the most stable polymorph in this dataset: 3 meV per atom
Energy relative to the elements: -2.139 eV/atom
Calculated volume: 1927 Å³ per cell
Symmetry: Pbca, No. 61

---

An optimized crystal structure of LiMn2S3O12, computed with PBE with a Hubbard U.

a b c (Å): 8.8349 8.8349 8.8349
angles (deg): 59.42 59.42 59.42
Last column: nearest neighbours and their distance in Å.
Fractional positions:
Li 0.0000 0.0000 0.0000  6 O 2.35
Li 0.5000 0.5000 0.5000  6 O 2.35
Mn 0.3552 0.3552 0.3552  6 O 2.07-2.15
Mn 0.1448 0.1448 0.1448  6 O 2.07-2.15
Mn 0.6448 0.6448 0.6448  6 O 2.07-2.15
Mn 0.8552 0.8552 0.8552  6 O 2.07-2.15
S 0.7500 0.0465 0.4535  4 O 1.47-1.49
S 0.9535 0.5465 0.2500  4 O 1.47-1.49
S 0.5465 0.2500 0.9535  4 O 1.47-1.49
S 0.4535 0.7500 0.0465  4 O 1.47-1.49
S 0.0465 0.4535 0.7500  4 O 1.47-1.49
S 0.2500 0.9535 0.5465  4 O 1.47-1.49
O 0.9066 0.0594 0.2710  1 S 1.49
O 0.7290 0.0934 0.9406  1 S 1.49
O 0.8975 0.4911 0.6920  1 S 1.47
O 0.0089 0.6025 0.8080  1 S 1.47
O 0.5934 0.2290 0.4406  1 S 1.49
O 0.7710 0.5594 0.4066  1 S 1.49
O 0.9406 0.7290 0.0934  1 S 1.49
O 0.1920 0.9911 0.3975  1 S 1.47
O 0.5089 0.3080 0.1025  1 S 1.47
O 0.3080 0.1025 0.5089  1 S 1.47
O 0.3975 0.1920 0.9911  1 S 1.47
O 0.5594 0.4066 0.7710  1 S 1.49
O 0.4406 0.5934 0.2290  1 S 1.49
O 0.6920 0.8975 0.4911  1 S 1.47
O 0.6025 0.8080 0.0089  1 S 1.47
O 0.8080 0.0089 0.6025  1 S 1.47
O 0.4911 0.6920 0.8975  1 S 1.47
O 0.0594 0.2710 0.9066  1 S 1.49
O 0.2290 0.4406 0.5934  1 S 1.49
O 0.4066 0.7710 0.5594  1 S 1.49
O 0.1025 0.5089 0.3080  1 S 1.47
O 0.9911 0.3975 0.1920  1 S 1.47
O 0.2710 0.9066 0.0594  1 S 1.49
O 0.0934 0.9406 0.7290  1 S 1.49

Magnetization: 0.500 μB per atom
Crystal system: trigonal
Energy above the most stable polymorph in this dataset: 12 meV per atom
Energy relative to the elements: -2.006 eV/atom
Calculated volume: 481 Å³ per cell
Symmetry: R-3c, No. 167